Entry 1:
# Li2MnH8S2O12 | Materials Project | PBE+U | optimized geometry
data_Li2MnH8S2O12
_cell_length_a 11.9019
_cell_length_b 11.9019
_cell_length_c 12.5778
_cell_angle_alpha 118.15
_cell_angle_beta 118.15
_cell_angle_gamma 45.99
_space_group_name_H-M_alt 'P 1'
_space_group_IT_number 1
_space_group_name_Hall 'P 1'
loop_
_atom_site_label
_atom_site_fract_x
_atom_site_fract_y
_atom_site_fract_z
Li1 0.0064 0.2424 0.1906
Li2 0.2424 0.0064 0.6906
Li3 0.3542 0.3746 0.3407
Li4 0.3746 0.3542 0.8407
Li5 0.6254 0.6458 0.1593
Li6 0.6458 0.6254 0.6593
Li7 0.7576 0.9936 0.3094
Li8 0.9936 0.7576 0.8094
Mn1 0.0000 0.5000 0.5000
Mn2 0.2503 0.7497 0.2500
Mn3 0.5000 0.0000 0.0000
Mn4 0.7497 0.2503 0.7500
H1 0.0114 0.2400 0.4587
H2 0.0274 0.9414 0.6757
H3 0.0586 0.9726 0.8243
H4 0.0776 0.6402 0.0441
H5 0.1133 0.5953 0.1644
H6 0.1849 0.1868 0.5100
H7 0.1868 0.1849 0.0100
H8 0.2400 0.0114 0.9587
H9 0.2718 0.4716 0.5529
H10 0.3021 0.3148 0.9929
H11 0.3148 0.3021 0.4929
H12 0.3598 0.9224 0.4559
H13 0.4047 0.8867 0.3356
H14 0.4432 0.5243 0.6754
H15 0.4716 0.2718 0.0529
H16 0.4757 0.5568 0.8246
H17 0.5243 0.4432 0.1754
H18 0.5284 0.7282 0.9471
H19 0.5568 0.4757 0.3246
H20 0.5953 0.1133 0.6644
H21 0.6402 0.0776 0.5441
H22 0.6852 0.6979 0.5071
H23 0.6979 0.6852 0.0071
H24 0.7282 0.5284 0.4471
H25 0.7600 0.9886 0.0413
H26 0.8132 0.8151 0.9900
H27 0.8151 0.8132 0.4900
H28 0.8867 0.4047 0.8356
H29 0.9224 0.3598 0.9559
H30 0.9414 0.0274 0.1757
H31 0.9726 0.0586 0.3243
H32 0.9886 0.7600 0.5413
S1 0.0084 0.5247 0.7967
S2 0.2427 0.7203 0.5195
S3 0.2797 0.7573 0.9805
S4 0.4753 0.9916 0.7033
S5 0.5247 0.0084 0.2967
S6 0.7203 0.2427 0.0195
S7 0.7573 0.2797 0.4805
S8 0.9916 0.4753 0.2033
O1 0.0048 0.5629 0.6967
O2 0.0179 0.9821 0.2500
O3 0.0408 0.3252 0.1009
O4 0.0780 0.8199 0.5376
O5 0.0823 0.2556 0.4557
O6 0.1059 0.5103 0.2472
O7 0.1457 0.6242 0.1283
O8 0.1754 0.3890 0.8409
O9 0.1801 0.9220 0.9624
O10 0.2198 0.6683 0.8739
O11 0.2314 0.7282 0.4012
O12 0.2514 0.4025 0.5508
O13 0.2556 0.0823 0.9557
O14 0.2718 0.7686 0.0988
O15 0.3252 0.0408 0.6009
O16 0.3308 0.5477 0.5158
O17 0.3317 0.7802 0.6261
O18 0.3758 0.8543 0.3717
O19 0.3890 0.1754 0.3409
O20 0.4025 0.2514 0.0508
O21 0.4371 0.9952 0.8033
O22 0.4523 0.6692 0.9842
O23 0.4814 0.5186 0.2500
O24 0.4897 0.8941 0.2528
O25 0.5103 0.1059 0.7472
O26 0.5186 0.4814 0.7500
O27 0.5477 0.3308 0.0158
O28 0.5629 0.0048 0.1967
O29 0.5975 0.7486 0.9492
O30 0.6110 0.8246 0.6591
O31 0.6242 0.1457 0.6283
O32 0.6683 0.2198 0.3739
O33 0.6692 0.4523 0.4842
O34 0.6748 0.9592 0.3991
O35 0.7282 0.2314 0.9012
O36 0.7444 0.9177 0.0443
O37 0.7486 0.5975 0.4492
O38 0.7686 0.2718 0.5988
O39 0.7802 0.3317 0.1261
O40 0.8199 0.0780 0.0376
O41 0.8246 0.6110 0.1591
O42 0.8543 0.3758 0.8717
O43 0.8941 0.4897 0.7528
O44 0.9177 0.7444 0.5443
O45 0.9220 0.1801 0.4624
O46 0.9592 0.6748 0.8991
O47 0.9821 0.0179 0.7500
O48 0.9952 0.4371 0.3033
# * calculated formation energy: -1699 meV/atom
# * mass density: 2.010 g/cm3

Entry 2:
# LiMnH8S2O12 | Materials Project | PBE+U | optimized geometry
data_LiMnH8S2O12
_cell_length_a 11.7703
_cell_length_b 11.7703
_cell_length_c 11.5705
_cell_angle_alpha 114.24
_cell_angle_beta 114.24
_cell_angle_gamma 46.63
_space_group_name_H-M_alt 'P 1'
_space_group_IT_number 1
_space_group_name_Hall 'P 1'
loop_
_atom_site_label
_atom_site_fract_x
_atom_site_fract_y
_atom_site_fract_z
Li1 0.1321 0.1321 0.4531
Li2 0.3207 0.4069 0.0392
Li3 0.5931 0.6793 0.9608
Li4 0.8679 0.8679 0.5469
Mn1 0.0618 0.4363 0.7486
Mn2 0.3173 0.6827 0.5000
Mn3 0.5637 0.9382 0.2514
Mn4 0.8204 0.1796 0.0000
H1 0.0256 0.9318 0.4178
H2 0.0442 0.6928 0.7935
H3 0.0682 0.9744 0.5822
H4 0.0731 0.8974 0.9198
H5 0.0874 0.1771 0.7122
H6 0.1026 0.9269 0.0802
H7 0.1796 0.5459 0.4247
H8 0.2020 0.5274 0.2886
H9 0.2536 0.1391 0.7795
H10 0.2743 0.1187 0.2900
H11 0.3072 0.9558 0.2065
H12 0.3251 0.4104 0.7764
H13 0.3727 0.2389 0.7226
H14 0.3738 0.2405 0.2103
H15 0.4541 0.8204 0.5753
H16 0.4726 0.7980 0.7114
H17 0.5300 0.4309 0.9182
H18 0.5452 0.1973 0.2802
H19 0.5691 0.4700 0.0818
H20 0.5746 0.4018 0.4211
H21 0.5896 0.6749 0.2236
H22 0.5982 0.4254 0.5789
H23 0.6535 0.0749 0.7899
H24 0.7008 0.0256 0.9234
H25 0.7595 0.6262 0.7897
H26 0.7611 0.6273 0.2774
H27 0.8027 0.4548 0.7198
H28 0.8229 0.9126 0.2878
H29 0.8609 0.7464 0.2205
H30 0.8813 0.7257 0.7100
H31 0.9251 0.3465 0.2101
H32 0.9744 0.2992 0.0766
S1 0.0593 0.4168 0.4601
S2 0.0637 0.4523 0.0396
S3 0.3088 0.6578 0.7810
S4 0.3422 0.6912 0.2190
S5 0.5477 0.9363 0.9604
S6 0.5832 0.9407 0.5399
S7 0.8148 0.1561 0.2830
S8 0.8439 0.1852 0.7170
O1 0.0029 0.4246 0.5640
O2 0.0071 0.1056 0.7026
O3 0.0266 0.9734 0.0000
O4 0.0355 0.3365 0.9904
O5 0.1077 0.8923 0.5000
O6 0.1101 0.5148 0.5114
O7 0.1146 0.4520 0.9343
O8 0.1431 0.7596 0.8027
O9 0.1593 0.1952 0.7103
O10 0.1892 0.2432 0.4217
O11 0.1946 0.5888 0.3790
O12 0.2125 0.4026 0.1430
O13 0.2404 0.8569 0.1973
O14 0.2809 0.6058 0.1280
O15 0.2921 0.6530 0.6447
O16 0.3032 0.3423 0.7789
O17 0.3299 0.0282 0.2194
O18 0.3470 0.7079 0.3553
O19 0.3861 0.0733 0.9179
O20 0.3942 0.7191 0.8720
O21 0.3986 0.4916 0.7950
O22 0.4112 0.8054 0.6210
O23 0.4769 0.1693 0.2652
O24 0.4852 0.8899 0.4886
O25 0.5084 0.6014 0.2050
O26 0.5233 0.4767 0.5000
O27 0.5271 0.0781 0.6491
O28 0.5480 0.8854 0.0657
O29 0.5754 0.9971 0.4360
O30 0.5974 0.7875 0.8570
O31 0.6105 0.3895 0.0000
O32 0.6490 0.2667 0.3076
O33 0.6577 0.6968 0.2211
O34 0.6635 0.9645 0.0096
O35 0.7199 0.0659 0.8785
O36 0.7333 0.3510 0.6924
O37 0.7568 0.8108 0.5783
O38 0.7935 0.0890 0.6287
O39 0.7970 0.1491 0.1458
O40 0.8048 0.8407 0.2897
O41 0.8307 0.5231 0.7348
O42 0.8509 0.2030 0.8542
O43 0.8944 0.9929 0.2974
O44 0.9110 0.2065 0.3713
O45 0.9219 0.4729 0.3509
O46 0.9267 0.6139 0.0821
O47 0.9341 0.2801 0.1215
O48 0.9718 0.6701 0.7806
# * calculated formation energy: -1613 meV/atom
# * energy above the lowest structure with this stoichiometry: 0.003 eV per atom
# * mass density: 2.078 g/cm3

Entry 3:
# LiMnH4S2O10 | Materials Project | PBE+U | optimized geometry
data_LiMnH4S2O10
_cell_length_a 5.6382
_cell_length_b 7.4112
_cell_length_c 10.4356
_cell_angle_alpha 101.53
_cell_angle_beta 97.89
_cell_angle_gamma 111.94
_space_group_name_H-M_alt 'P 1'
_space_group_IT_number 1
_space_group_name_Hall 'P 1'
loop_
_atom_site_label
_atom_site_fract_x
_atom_site_fract_y
_atom_site_fract_z
Li1 0.0000 0.0000 0.0000
Li2 0.1839 0.0942 0.5860
Mn1 0.8367 0.4127 0.7152
Mn2 0.8463 0.3835 0.2149
H1 0.0015 0.1007 0.2563
H2 0.6629 0.6874 0.6789
H3 0.7138 0.9878 0.1539
H4 0.7357 0.0422 0.5813
H5 0.8230 0.0772 0.7401
H6 0.8864 0.7164 0.1882
H7 0.9068 0.7312 0.3463
H8 0.9602 0.7881 0.7675
S1 0.1886 0.6414 0.0438
S2 0.2006 0.6396 0.5378
S3 0.4808 0.1649 0.3967
S4 0.5136 0.1522 0.8885
O1 0.0401 0.7696 0.0677
O2 0.0779 0.7843 0.5370
O3 0.0856 0.5008 0.9064
O4 0.0944 0.4755 0.4110
O5 0.1441 0.5397 0.6529
O6 0.1477 0.5092 0.1424
O7 0.1893 0.0618 0.3726
O8 0.2367 0.0093 0.8654
O9 0.4703 0.7615 0.0694
O10 0.4884 0.7403 0.5694
O11 0.5172 0.2559 0.7732
O12 0.5308 0.2616 0.2821
O13 0.5672 0.3256 0.5279
O14 0.5894 0.3042 0.0190
O15 0.6125 0.0299 0.4027
O16 0.6972 0.0530 0.8780
O17 0.7862 0.6756 0.7536
O18 0.8060 0.6453 0.2546
O19 0.8789 0.1313 0.6629
O20 0.8872 0.1094 0.1756
# * calculated formation energy: -1745 meV/atom
# * energy above the lowest structure with this stoichiometry: 0.000 eV per atom
# * mass density: 2.499 g/cm3